Density functional theory data (PBE) for a geometry-optimized Hg2As3Br structure.

Computed properties:
**Energy relative to the elements**: -230 meV/atom
**SG**: C2/c
**Total energy**: -2.84 eV per atom

```
Hg2As3Br
1.0
4.154 -4.756 0.000
4.154 4.756 0.000
-1.246 0.000 8.295
Hg As Br
4 6 2
direct
0.093 0.358 0.159
0.358 0.093 0.659
0.642 0.907 0.341
0.907 0.642 0.841
0.296 0.704 0.750
0.312 0.433 0.517
0.433 0.312 0.017
0.567 0.688 0.983
0.688 0.567 0.483
0.704 0.296 0.250
0.135 0.865 0.250
0.865 0.135 0.750
```


Density functional theory data (PBE) for a geometry-optimized In2Hg8As5Br7 structure.

Computed properties:
**Energy relative to the elements**: -397 meV/atom
**Magnetization**: 0.004 μB per atom
**SG**: P-3m1
**Total energy**: -2.17 eV per atom

```
In2Hg8As5Br7
1.0
8.114 0.000 0.000
-4.057 7.027 0.000
0.000 0.000 14.092
In Hg As Br
2 8 5 7
direct
0.000 0.000 0.187
0.000 0.000 0.813
0.000 0.500 0.000
0.000 0.500 0.500
0.333 0.667 0.251
0.500 0.000 0.000
0.500 0.000 0.500
0.500 0.500 0.000
0.500 0.500 0.500
0.667 0.333 0.749
0.000 0.000 0.000
0.333 0.667 0.070
0.333 0.667 0.432
0.667 0.333 0.568
0.667 0.333 0.930
0.000 0.000 0.500
0.172 0.344 0.750
0.172 0.828 0.750
0.344 0.172 0.250
0.656 0.828 0.750
0.828 0.172 0.250
0.828 0.656 0.250
```


Density functional theory data (PBE) for a geometry-optimized K2HgAsBr6 structure.

Computed properties:
**Energy relative to the elements**: -1228 meV/atom
**Magnetization**: 0.005 μB per atom
**SG**: Fm-3m
**Total energy**: -2.61 eV per atom

```
K2HgAsBr6
1.0
0.000 5.600 5.600
5.600 0.000 5.600
5.600 5.600 0.000
K Hg As Br
2 1 1 6
direct
0.250 0.250 0.250
0.750 0.750 0.750
0.000 0.000 0.000
0.500 0.500 0.500
0.261 0.261 0.739
0.261 0.739 0.261
0.261 0.739 0.739
0.739 0.261 0.261
0.739 0.261 0.739
0.739 0.739 0.261
```


Density functional theory data (PBE) for a geometry-optimized Rb2HgAsBr6 structure.

Computed properties:
**Energy relative to the elements**: -1266 meV/atom
**Magnetization**: 0.005 μB per atom
**SG**: Fm-3m
**Total energy**: -2.62 eV per atom

```
Rb2HgAsBr6
1.0
0.000 5.627 5.627
5.627 0.000 5.627
5.627 5.627 0.000
Rb Hg As Br
2 1 1 6
direct
0.250 0.250 0.250
0.750 0.750 0.750
0.000 0.000 0.000
0.500 0.500 0.500
0.262 0.262 0.738
0.262 0.738 0.262
0.262 0.738 0.738
0.738 0.262 0.262
0.738 0.262 0.738
0.738 0.738 0.262
```


Density functional theory data (PBE) for a geometry-optimized Hg3As8S8Br6 structure.

Computed properties:
**Energy relative to the elements**: -547 meV/atom
**Magnetization**: 0.000 μB per atom
**SG**: P2_1/c
**Total energy**: -3.50 eV per atom

```
Hg3As8S8Br6
1.0
10.201 0.000 0.000
0.000 11.956 0.000
-4.522 0.000 13.941
Hg As S Br
6 16 16 12
direct
0.000 0.000 0.000
0.000 0.500 0.500
0.241 0.221 0.306
0.241 0.279 0.806
0.759 0.721 0.194
0.759 0.779 0.694
0.132 0.674 0.024
0.132 0.826 0.524
0.372 0.646 0.683
0.372 0.854 0.183
0.378 0.585 0.082
0.378 0.915 0.582
0.387 0.635 0.507
0.387 0.865 0.007
0.613 0.135 0.993
0.613 0.365 0.493
0.622 0.085 0.418
0.622 0.415 0.918
0.628 0.146 0.817
0.628 0.354 0.317
0.868 0.174 0.476
0.868 0.326 0.976
0.152 0.707 0.648
0.152 0.793 0.148
0.172 0.694 0.425
0.172 0.806 0.925
0.462 0.680 0.222
0.462 0.820 0.722
0.484 0.697 0.000
0.484 0.803 0.500
0.516 0.197 0.500
0.516 0.303 0.000
0.538 0.180 0.278
0.538 0.320 0.778
0.828 0.194 0.075
0.828 0.306 0.575
0.848 0.207 0.852
0.848 0.293 0.352
0.159 0.035 0.336
0.159 0.465 0.836
0.213 0.117 0.056
0.213 0.383 0.556
0.263 0.079 0.769
0.263 0.421 0.269
0.737 0.579 0.731
0.737 0.921 0.231
0.787 0.617 0.444
0.787 0.883 0.944
0.841 0.535 0.164
0.841 0.965 0.664
```


Density functional theory data (PBE) for a geometry-optimized SnHg6As4Br6 structure.

Computed properties:
**Energy relative to the elements**: -545 meV/atom
**Magnetization**: 0.000 μB per atom
**SG**: P2_13
**Total energy**: -2.37 eV per atom

```
SnHg6As4Br6
1.0
12.747 0.000 0.000
0.000 12.747 0.000
0.000 0.000 12.747
Sn Hg As Br
4 24 16 24
direct
0.227 0.227 0.227
0.273 0.773 0.727
0.727 0.273 0.773
0.773 0.727 0.273
0.018 0.238 0.527
0.027 0.482 0.762
0.028 0.734 0.462
0.038 0.972 0.234
0.234 0.038 0.972
0.238 0.527 0.018
0.262 0.473 0.518
0.266 0.962 0.472
0.462 0.028 0.734
0.472 0.266 0.962
0.473 0.518 0.262
0.482 0.762 0.027
0.518 0.262 0.473
0.527 0.018 0.238
0.528 0.766 0.538
0.538 0.528 0.766
0.734 0.462 0.028
0.738 0.973 0.982
0.762 0.027 0.482
0.766 0.538 0.528
0.962 0.472 0.266
0.972 0.234 0.038
0.973 0.982 0.738
0.982 0.738 0.973
0.043 0.043 0.043
0.044 0.544 0.956
0.067 0.933 0.433
0.068 0.432 0.568
0.432 0.568 0.068
0.433 0.067 0.933
0.456 0.456 0.456
0.457 0.957 0.543
0.543 0.457 0.957
0.544 0.956 0.044
0.567 0.567 0.567
0.568 0.068 0.432
0.932 0.932 0.932
0.933 0.433 0.067
0.956 0.044 0.544
0.957 0.543 0.457
0.026 0.732 0.203
0.056 0.741 0.707
0.203 0.026 0.732
0.207 0.444 0.259
0.232 0.297 0.974
0.241 0.793 0.944
0.259 0.207 0.444
0.268 0.703 0.474
0.293 0.556 0.759
0.297 0.974 0.232
0.444 0.259 0.207
0.474 0.268 0.703
0.526 0.768 0.797
0.556 0.759 0.293
0.703 0.474 0.268
0.707 0.056 0.741
0.732 0.203 0.026
0.741 0.707 0.056
0.759 0.293 0.556
0.768 0.797 0.526
0.793 0.944 0.241
0.797 0.526 0.768
0.944 0.241 0.793
0.974 0.232 0.297
```